Record 1
Computed, not measured: a geometry-optimized SbH5O4F6 structure at the PBE level of DFT.

Results
Total magnetic moment ... 0.00 μB/f.u.
Symmetry ... P1 (1)

Unit cell a=6.794 b=8.000 c=8.339 alpha=111.17 beta=95.33 gamma=113.98
Fractional positions:
Sb: 0.763 0.395 0.203
Sb: 0.235 0.598 0.795
H: 0.362 0.888 0.253
H: 0.625 0.102 0.745
H: 0.143 0.189 0.901
H: 0.866 0.813 0.080
H: 0.909 0.841 0.633
H: 0.094 0.153 0.354
H: 0.405 0.608 0.269
H: 0.596 0.384 0.721
H: 0.494 0.992 0.498
H: 0.015 0.003 0.990
O: 0.083 0.042 0.874
O: 0.936 0.961 0.109
O: 0.882 0.944 0.724
O: 0.124 0.050 0.266
O: 0.517 0.752 0.311
O: 0.478 0.242 0.680
O: 0.377 0.850 0.354
O: 0.612 0.136 0.642
F: 0.058 0.420 0.242
F: 0.939 0.571 0.757
F: 0.850 0.624 0.429
F: 0.148 0.367 0.570
F: 0.464 0.363 0.154
F: 0.534 0.631 0.843
F: 0.681 0.170 0.972
F: 0.315 0.823 0.024
F: 0.675 0.215 0.312
F: 0.322 0.777 0.684
F: 0.845 0.580 0.093
F: 0.155 0.414 0.906

---

Record 2
Computed, not measured: a geometry-optimized SiH10O4F6 structure at the PBE level of DFT.

Results
Symmetry ... P2_1/c (14)

Unit cell a=10.109 b=6.090 c=6.623 alpha=75.83 beta=90.00 gamma=90.00
Fractional positions:
Si: 0.500 0.000 0.500
Si: 0.000 0.000 0.000
H: 0.622 0.795 0.922
H: 0.122 0.205 0.578
H: 0.378 0.205 0.078
H: 0.878 0.795 0.422
H: 0.625 0.834 0.157
H: 0.125 0.166 0.343
H: 0.375 0.166 0.843
H: 0.875 0.834 0.657
H: 0.695 0.576 0.126
H: 0.195 0.424 0.374
H: 0.305 0.424 0.874
H: 0.805 0.576 0.626
H: 0.720 0.266 0.234
H: 0.220 0.734 0.266
H: 0.280 0.734 0.766
H: 0.780 0.266 0.734
H: 0.850 0.385 0.125
H: 0.350 0.615 0.375
H: 0.150 0.615 0.875
H: 0.650 0.385 0.625
O: 0.619 0.718 0.074
O: 0.119 0.282 0.426
O: 0.381 0.282 0.926
O: 0.881 0.718 0.574
O: 0.771 0.409 0.205
O: 0.271 0.591 0.295
O: 0.229 0.591 0.795
O: 0.729 0.409 0.705
F: 0.624 0.922 0.681
F: 0.124 0.078 0.819
F: 0.376 0.078 0.319
F: 0.876 0.922 0.181
F: 0.476 0.724 0.500
F: 0.976 0.276 0.000
F: 0.524 0.276 0.500
F: 0.024 0.724 0.000
F: 0.384 0.974 0.700
F: 0.884 0.026 0.800
F: 0.616 0.026 0.300
F: 0.116 0.974 0.200

---

Record 3
Computed, not measured: a geometry-optimized SiH14O4F6 structure at the PBE level of DFT.

Results
Excess energy over the best structure of this formula in the dataset ... 0.0000 eV per atom
Total magnetic moment ... 0.00 μB/f.u.
Symmetry ... P2_1/c (14)

Unit cell a=5.973 b=13.120 c=6.411 alpha=90.00 beta=109.37 gamma=90.00
Fractional positions:
Si: 0.000 0.500 0.500
Si: 0.000 0.000 0.000
H: 0.641 0.096 0.416
H: 0.359 0.596 0.084
H: 0.359 0.904 0.584
H: 0.641 0.404 0.916
H: 0.734 0.123 0.213
H: 0.266 0.623 0.287
H: 0.266 0.877 0.787
H: 0.734 0.377 0.713
H: 0.861 0.186 0.475
H: 0.139 0.686 0.025
H: 0.139 0.814 0.525
H: 0.861 0.314 0.975
H: 0.112 0.286 0.602
H: 0.888 0.786 0.898
H: 0.888 0.714 0.398
H: 0.112 0.214 0.102
H: 0.141 0.176 0.730
H: 0.859 0.676 0.770
H: 0.859 0.824 0.270
H: 0.141 0.324 0.230
H: 0.360 0.077 0.568
H: 0.640 0.577 0.932
H: 0.640 0.923 0.432
H: 0.360 0.423 0.068
H: 0.464 0.082 0.673
H: 0.536 0.582 0.827
H: 0.536 0.918 0.327
H: 0.464 0.418 0.173
O: 0.698 0.152 0.345
O: 0.302 0.652 0.155
O: 0.302 0.848 0.655
O: 0.698 0.348 0.845
O: 0.030 0.226 0.637
O: 0.970 0.726 0.863
O: 0.970 0.774 0.363
O: 0.030 0.274 0.137
F: 0.190 0.396 0.527
F: 0.810 0.896 0.973
F: 0.810 0.604 0.473
F: 0.190 0.104 0.027
F: 0.226 0.581 0.492
F: 0.774 0.081 0.008
F: 0.774 0.419 0.508
F: 0.226 0.919 0.992
F: 0.088 0.513 0.778
F: 0.912 0.013 0.722
F: 0.912 0.487 0.222
F: 0.088 0.987 0.278

---

Record 4
Computed, not measured: a geometry-optimized SiH14O4F6 structure at the PBE level of DFT.

Results
Excess energy over the best structure of this formula in the dataset ... 0.0130 eV per atom
Total magnetic moment ... 0.00 μB/f.u.
Symmetry ... P2_1/c (14)

Unit cell a=13.336 b=5.756 c=6.137 alpha=71.44 beta=90.00 gamma=90.00
Fractional positions:
Si: 0.500 0.000 0.500
Si: 0.000 0.000 0.000
H: 0.858 0.573 0.580
H: 0.358 0.427 0.920
H: 0.142 0.427 0.420
H: 0.642 0.573 0.080
H: 0.864 0.694 0.778
H: 0.364 0.306 0.722
H: 0.136 0.306 0.222
H: 0.636 0.694 0.278
H: 0.792 0.874 0.514
H: 0.292 0.126 0.986
H: 0.208 0.126 0.486
H: 0.708 0.874 0.014
H: 0.699 0.115 0.417
H: 0.199 0.885 0.083
H: 0.301 0.885 0.583
H: 0.801 0.115 0.917
H: 0.819 0.176 0.353
H: 0.319 0.824 0.147
H: 0.181 0.824 0.647
H: 0.681 0.176 0.853
H: 0.929 0.335 0.431
H: 0.429 0.665 0.069
H: 0.071 0.665 0.569
H: 0.571 0.335 0.931
H: 0.913 0.437 0.324
H: 0.413 0.563 0.176
H: 0.087 0.563 0.676
H: 0.587 0.437 0.824
O: 0.819 0.665 0.657
O: 0.319 0.335 0.843
O: 0.181 0.335 0.343
O: 0.681 0.665 0.157
O: 0.767 0.052 0.378
O: 0.267 0.948 0.122
O: 0.233 0.948 0.622
O: 0.733 0.052 0.878
F: 0.600 0.208 0.446
F: 0.100 0.792 0.054
F: 0.400 0.792 0.554
F: 0.900 0.208 0.946
F: 0.421 0.227 0.529
F: 0.921 0.773 0.971
F: 0.579 0.773 0.471
F: 0.079 0.227 0.029
F: 0.473 0.084 0.216
F: 0.973 0.916 0.284
F: 0.527 0.916 0.784
F: 0.027 0.084 0.716

---

Record 5
Computed, not measured: a geometry-optimized ZnSiH12O6F6 structure at the PBE level of DFT.

Results
Total magnetic moment ... 0.00 μB/f.u.
Symmetry ... R-3 (148)

Unit cell a=6.422 b=6.422 c=6.422 alpha=96.24 beta=96.24 gamma=96.24
Fractional positions:
Zn: 0.000 0.000 0.000
Si: 0.500 0.500 0.500
H: 0.945 0.601 0.793
H: 0.812 0.317 0.196
H: 0.804 0.188 0.683
H: 0.793 0.945 0.601
H: 0.683 0.804 0.188
H: 0.601 0.793 0.945
H: 0.399 0.207 0.055
H: 0.317 0.196 0.812
H: 0.207 0.055 0.399
H: 0.196 0.812 0.317
H: 0.188 0.683 0.804
H: 0.055 0.399 0.207
O: 0.939 0.302 0.126
O: 0.874 0.061 0.698
O: 0.698 0.874 0.061
O: 0.302 0.126 0.939
O: 0.126 0.939 0.302
O: 0.061 0.698 0.874
F: 0.728 0.440 0.634
F: 0.634 0.728 0.440
F: 0.560 0.366 0.272
F: 0.440 0.634 0.728
F: 0.366 0.272 0.560
F: 0.272 0.560 0.366

---

Record 6
Computed, not measured: a geometry-optimized ZnSn2H12O6F6 structure at the PBE level of DFT.

Results
Excess energy over the best structure of this formula in the dataset ... 0.0000 eV per atom
Total magnetic moment ... 0.00 μB/f.u.
Symmetry ... P-1 (2)

Unit cell a=7.062 b=7.152 c=7.172 alpha=76.19 beta=72.46 gamma=79.76
Fractional positions:
Zn: 0.000 0.000 0.000
Sn: 0.323 0.365 0.311
Sn: 0.677 0.635 0.689
H: 0.249 0.272 0.915
H: 0.751 0.728 0.085
H: 0.073 0.368 0.814
H: 0.927 0.632 0.186
H: 0.902 0.239 0.252
H: 0.098 0.761 0.748
H: 0.790 0.052 0.360
H: 0.210 0.948 0.640
H: 0.235 0.945 0.257
H: 0.765 0.055 0.743
H: 0.349 0.828 0.085
H: 0.651 0.172 0.915
O: 0.155 0.244 0.849
O: 0.845 0.756 0.151
O: 0.827 0.144 0.231
O: 0.173 0.856 0.769
O: 0.216 0.871 0.165
O: 0.784 0.129 0.835
F: 0.269 0.072 0.409
F: 0.731 0.928 0.591
F: 0.032 0.414 0.272
F: 0.968 0.586 0.728
F: 0.421 0.303 0.020
F: 0.579 0.697 0.980

---

Record 7
Computed, not measured: a geometry-optimized ZnSn2H12O6F6 structure at the PBE level of DFT.

Results
Excess energy over the best structure of this formula in the dataset ... 0.4143 eV per atom
Total magnetic moment ... 0.00 μB/f.u.
Symmetry ... P-1 (2)

Unit cell a=6.529 b=6.806 c=7.559 alpha=78.32 beta=85.06 gamma=87.46
Fractional positions:
Zn: 0.000 0.000 0.000
Sn: 0.643 0.650 0.625
Sn: 0.357 0.350 0.375
H: 0.722 0.647 0.962
H: 0.278 0.353 0.038
H: 0.710 0.041 0.256
H: 0.290 0.959 0.744
H: 0.658 0.052 0.808
H: 0.342 0.948 0.192
H: 0.940 0.219 0.636
H: 0.060 0.781 0.364
H: 0.075 0.867 0.704
H: 0.925 0.133 0.296
H: 0.636 0.562 0.878
H: 0.364 0.438 0.122
O: 0.864 0.027 0.243
O: 0.136 0.973 0.757
O: 0.812 0.281 0.683
O: 0.188 0.719 0.317
O: 0.751 0.146 0.853
O: 0.249 0.854 0.147
F: 0.952 0.728 0.619
F: 0.048 0.272 0.381
F: 0.533 0.933 0.711
F: 0.467 0.067 0.289
F: 0.799 0.726 0.044
F: 0.201 0.274 0.956

---

Record 8
Computed, not measured: a geometry-optimized SrTiH4O2F6 structure at the PBE level of DFT.

Results
Total magnetic moment ... 0.00 μB/f.u.
Symmetry ... P2_1/c (14)

Unit cell a=9.865 b=6.073 c=11.926 alpha=69.25 beta=90.00 gamma=90.00
Fractional positions:
Sr: 0.313 0.718 0.451
Sr: 0.813 0.282 0.049
Sr: 0.187 0.718 0.951
Sr: 0.687 0.282 0.549
Ti: 0.036 0.362 0.732
Ti: 0.536 0.638 0.768
Ti: 0.464 0.362 0.232
Ti: 0.964 0.638 0.268
H: 0.353 0.170 0.947
H: 0.608 0.724 0.328
H: 0.364 0.024 0.085
H: 0.633 0.826 0.430
H: 0.853 0.830 0.553
H: 0.133 0.174 0.070
H: 0.864 0.976 0.415
H: 0.892 0.724 0.828
H: 0.108 0.276 0.172
H: 0.136 0.024 0.585
H: 0.867 0.826 0.930
H: 0.147 0.170 0.447
H: 0.367 0.174 0.570
H: 0.636 0.976 0.915
H: 0.392 0.276 0.672
H: 0.647 0.830 0.053
O: 0.582 0.704 0.410
O: 0.307 0.049 0.014
O: 0.807 0.951 0.486
O: 0.918 0.704 0.910
O: 0.082 0.296 0.090
O: 0.193 0.049 0.514
O: 0.693 0.951 0.986
O: 0.418 0.296 0.590
F: 0.940 0.228 0.879
F: 0.138 0.482 0.590
F: 0.434 0.356 0.814
F: 0.656 0.505 0.686
F: 0.090 0.778 0.340
F: 0.156 0.495 0.814
F: 0.855 0.917 0.226
F: 0.934 0.644 0.686
F: 0.638 0.518 0.910
F: 0.440 0.772 0.621
F: 0.355 0.083 0.274
F: 0.590 0.222 0.160
F: 0.410 0.778 0.840
F: 0.645 0.917 0.726
F: 0.560 0.228 0.379
F: 0.362 0.482 0.090
F: 0.066 0.356 0.314
F: 0.145 0.083 0.774
F: 0.844 0.505 0.186
F: 0.910 0.222 0.660
F: 0.344 0.495 0.314
F: 0.566 0.644 0.186
F: 0.862 0.518 0.410
F: 0.060 0.772 0.121

---

ΔH_f (0 K) for the records above, in order: -1674; -1939; -1602; -1589; -1873; -1717; -1303; -2805 meV per atom